1.
The following is a PBE calculation of a geometry-optimized K4Ba2B14H16O33 structure, from the Materials Project database.

## Properties
The calculated density comes out at 2.53 Mg/m³. As for the crystal system: triclinic. As for the magnetization: 0.0 μB/f.u.

Structure (extended XYZ):
```
138
Lattice="-4.269 3.505 7.378 -7.589 -9.779 -4.307 9.919 -5.760 7.090" Properties=species:S:1:pos:R:3 pbc="T T T"
K 0.854 -8.580 3.313
K -2.792 -3.454 6.847
K -4.560 -6.121 -0.937
K 2.621 -5.913 11.098
K 2.348 -3.108 7.688
K -4.286 -8.926 2.472
K -2.620 -0.251 4.118
K 0.681 -11.783 6.043
Ba 2.185 -3.063 3.585
Ba -4.123 -8.971 6.576
Ba 7.234 -5.781 7.075
Ba -9.172 -6.253 3.086
B 4.142 -7.279 7.176
B -6.080 -4.755 2.985
B 3.663 -8.892 5.362
B -5.602 -3.141 4.799
B 4.992 -6.828 4.758
B -6.930 -5.206 5.402
B 0.838 -1.550 10.363
B -2.777 -10.484 -0.203
B 3.022 -2.592 11.096
B -4.961 -9.442 -0.935
B 4.910 -3.908 10.056
B -6.848 -8.126 0.104
B 5.375 -2.584 12.066
B -7.313 -9.450 -1.906
B -4.155 1.235 6.769
B 2.217 -13.269 3.392
B -0.034 -4.030 1.203
B -1.904 -8.004 8.957
B -1.710 -5.830 1.639
B -0.229 -6.204 8.522
B -1.520 -3.976 3.342
B -0.418 -8.058 6.818
B -1.983 0.111 7.486
B 0.045 -12.145 2.675
B 0.360 0.240 8.480
B -2.298 -12.274 1.681
B -0.072 -1.230 6.547
B -1.866 -10.804 3.613
H -3.857 -6.396 8.377
H 1.919 -5.638 1.784
H -4.908 -5.668 7.462
H 2.970 -6.366 2.698
H -3.698 -3.270 -0.077
H 1.760 -8.764 10.237
H -2.203 -3.634 -0.295
H 0.264 -8.400 10.455
H 2.668 -5.706 5.562
H -4.606 -6.328 4.598
H 1.205 -5.831 6.131
H -3.143 -6.203 4.030
H 2.396 -6.543 7.977
H -4.334 -5.491 2.183
H -4.725 -2.381 1.642
H 2.786 -9.653 8.519
H -2.111 -7.246 0.326
H 0.172 -4.788 9.835
H -3.419 -3.239 3.402
H 1.480 -8.795 6.759
H -1.291 -10.507 7.959
H -0.647 -1.527 2.201
H -6.381 -7.644 4.299
H 4.443 -4.390 5.861
H -0.268 -2.902 5.364
H -1.670 -9.132 4.797
H 4.529 -5.396 8.784
H -6.467 -6.638 1.376
H -0.413 -4.951 4.796
H -1.525 -7.083 5.365
H 3.256 -10.272 4.001
H -5.194 -1.762 6.159
O 3.345 -6.583 8.203
O -5.283 -5.451 1.957
O 5.389 -7.749 7.854
O -7.328 -4.285 2.306
O 3.382 -8.464 6.636
O -5.320 -3.570 3.525
O 4.521 -6.366 6.088
O -6.459 -5.668 4.073
O 3.071 -10.095 4.953
O -5.009 -1.939 5.208
O 4.463 -8.216 4.481
O -6.401 -3.818 5.680
O 4.377 -5.958 3.728
O -6.315 -6.076 6.432
O 0.100 -0.639 9.665
O -2.038 -11.395 0.495
O 2.219 -1.580 10.324
O -4.157 -10.454 -0.163
O 2.176 -3.306 12.052
O -4.114 -8.728 -1.892
O 3.583 -3.567 10.091
O -5.521 -8.467 0.070
O 5.313 -4.931 9.188
O -7.251 -7.103 0.973
O 5.857 -3.383 10.884
O -7.795 -8.651 -0.724
O -1.138 -11.454 8.175
O -0.801 -0.580 1.986
O 4.123 -1.869 11.767
O -6.062 -10.165 -1.607
O 5.083 -3.552 13.179
O -7.021 -8.482 -3.018
O -0.630 -3.112 0.185
O -1.308 -8.922 9.975
O -0.641 -5.378 0.907
O -1.298 -6.656 9.253
O -2.422 -6.954 1.213
O 0.484 -5.080 8.948
O -2.150 -5.247 2.806
O 0.212 -6.787 7.355
O -2.499 -2.901 3.413
O 0.561 -9.133 6.747
O -1.087 -4.248 4.775
O -0.851 -7.786 5.385
O -0.346 -3.587 2.566
O -1.592 -8.447 7.595
O -2.841 -0.590 8.457
O 0.903 -11.444 1.704
O -1.405 -0.912 6.538
O -0.533 -11.122 3.622
O 0.416 -2.261 5.735
O -2.354 -9.773 4.425
O 0.852 -0.631 7.360
O -2.790 -11.403 2.800
O -6.165 -8.579 4.511
O 4.227 -3.455 5.650
O -0.912 0.886 8.146
O -1.026 -12.920 2.015
O -2.781 1.098 6.675
O 0.842 -13.132 3.485
O -4.101 -5.502 8.012
O 2.162 -6.532 2.148
O -3.119 -3.915 -0.567
O 1.180 -8.119 10.727
O 1.770 -5.297 5.513
O -3.709 -6.737 4.647
```

2.
The following is a PBE calculation of a geometry-optimized Ba2Na2B10H2O19 structure, from the Materials Project database.

## Properties
The calculated density comes out at 3.31 Mg/m³. As for the crystal system: monoclinic. As for the magnetization: 0.0 μB/f.u.

Structure (extended XYZ):
```
35
Lattice="3.373 5.778 0.000 -3.373 5.778 0.000 0.000 0.562 9.463" Properties=species:S:1:pos:R:3 pbc="T T T"
Ba 0.001 7.787 1.015
Ba 0.001 4.330 8.447
Na 1.300 6.058 4.731
Na -1.946 6.058 4.731
B -0.370 8.938 5.035
B -0.370 3.178 4.427
B -0.115 8.106 7.359
B -0.115 4.011 2.103
B -0.407 10.609 6.926
B -0.407 1.508 2.537
B -2.214 6.619 7.831
B -2.214 5.498 1.632
B 2.063 6.868 8.178
B 2.063 5.248 1.285
H -1.018 2.780 6.283
H -1.018 9.337 3.179
O -2.403 5.400 7.209
O -2.403 6.716 2.253
O 0.116 10.528 1.172
O 0.116 1.589 8.291
O -0.386 10.249 5.438
O -0.386 1.867 4.024
O -0.713 9.405 7.704
O -0.713 2.711 1.759
O -0.210 7.854 5.861
O -0.210 4.263 3.601
O -0.539 3.481 5.779
O -0.539 8.636 3.684
O 1.950 5.859 7.097
O 1.950 6.257 2.366
O 1.281 8.077 7.819
O 1.281 4.040 1.643
O -0.894 7.018 8.032
O -0.894 5.098 1.430
O 1.582 5.778 0.000
```

3.
The following is a PBE calculation of a geometry-optimized BaB8H4O15 structure, from the Materials Project database.

## Properties
The calculated density comes out at 2.68 Mg/m³. As for the crystal system: monoclinic. As for the magnetization: 0.1 μB/f.u.

Structure (extended XYZ):
```
112
Lattice="8.070 0.000 0.000 0.000 14.282 0.000 -8.032 0.000 10.073" Properties=species:S:1:pos:R:3 pbc="T T T"
Ba -0.609 2.255 8.840
Ba 3.407 4.886 3.803
Ba 0.647 12.028 1.233
Ba -3.369 9.396 6.270
B 0.042 4.335 3.843
B -3.974 2.806 8.880
B -0.004 9.947 6.230
B 4.012 11.477 1.193
B 0.570 3.691 1.485
B -3.445 3.450 6.521
B -0.533 10.592 8.589
B 3.483 10.832 3.552
B 2.545 4.539 0.084
B -1.471 2.602 5.121
B -2.507 9.743 9.989
B 1.509 11.681 4.953
B -6.062 6.562 8.827
B -2.046 0.580 3.791
B 6.100 7.721 1.246
B 2.084 13.703 6.283
B -5.515 4.477 7.528
B -1.499 2.664 2.491
B 5.553 9.805 2.545
B 1.537 11.618 7.582
B 0.633 3.576 6.120
B 4.649 3.565 1.083
B -0.596 10.707 3.953
B -4.612 10.717 8.990
B 5.461 13.254 0.024
B 1.445 8.169 5.061
B -5.423 1.028 10.049
B -1.407 6.113 5.012
B -2.421 13.204 7.551
B 1.595 8.219 2.515
B 2.459 1.078 2.522
B -1.557 6.063 7.559
H 6.359 0.351 1.173
H 2.343 6.790 6.210
H -6.321 13.931 8.900
H -2.305 7.492 3.864
H -2.656 12.774 5.610
H 1.360 8.649 0.573
H 2.693 1.508 4.464
H -1.322 5.633 9.500
H -1.569 0.330 6.431
H 2.447 6.812 1.394
H 1.606 13.953 3.642
H -2.410 7.471 8.679
H 1.314 8.219 7.967
H 5.329 13.205 2.930
H -1.276 6.064 2.106
H -5.292 1.078 7.143
O 0.977 4.222 4.960
O -3.039 2.919 9.996
O -0.939 10.060 5.114
O 3.077 11.363 0.077
O -0.798 5.548 3.927
O -4.814 1.593 8.964
O 0.836 8.734 6.146
O 4.852 12.689 1.110
O 0.834 4.410 2.617
O -3.182 2.732 7.653
O -0.796 9.873 7.457
O 3.220 11.551 2.420
O 1.310 3.771 0.331
O -2.706 3.370 5.367
O -1.272 10.511 9.743
O 2.743 10.913 4.706
O -5.785 5.972 10.031
O -1.769 1.169 4.994
O 5.823 8.310 0.043
O 1.807 13.113 5.079
O -2.866 12.850 8.811
O 1.150 8.574 3.774
O 2.904 1.432 1.262
O -1.112 5.709 6.299
O -5.896 5.897 7.633
O -1.881 1.244 2.597
O 5.934 8.385 2.440
O 1.918 13.039 7.477
O -4.887 4.040 8.846
O -0.871 3.101 3.810
O 4.925 10.242 1.227
O 0.909 11.181 6.264
O -4.508 4.338 6.476
O -0.493 2.803 1.440
O 4.546 9.945 3.597
O 0.530 11.479 8.634
O 1.381 3.634 7.271
O 5.397 3.507 2.234
O -1.344 10.648 2.803
O -5.359 10.775 7.840
O -0.484 2.765 6.176
O 3.532 4.376 1.140
O 0.522 11.517 3.897
O -3.494 9.906 8.934
O 6.434 14.224 0.258
O 2.418 7.200 5.295
O -6.396 0.059 9.815
O -2.380 7.083 4.778
O -2.862 12.413 6.504
O 1.154 9.011 1.468
O 2.900 1.870 3.569
O -1.116 5.271 8.606
O -1.582 14.278 7.376
O 2.433 7.145 2.339
O 1.620 0.004 2.698
O -2.396 7.137 7.734
O -6.481 7.881 8.850
O -2.465 13.542 3.813
O 6.518 6.401 1.223
O 2.502 0.740 6.260
```

4.
The following is a PBE calculation of a geometry-optimized BaB2H10O9 structure, from the Materials Project database.

## Properties
The calculated density comes out at 1.82 Mg/m³. As for the crystal system: monoclinic. As for the magnetization: 2.0 μB/f.u. As for the energy above the most stable polymorph in this dataset: 0.0 meV/atom.

Structure (extended XYZ):
```
88
Lattice="8.866 0.000 0.000 0.000 6.864 0.000 0.000 0.151 18.727" Properties=species:S:1:pos:R:3 pbc="T T T"
Ba 4.405 6.300 15.009
Ba 8.838 0.790 13.081
Ba 4.461 0.715 3.718
Ba 0.028 6.224 5.646
B 6.296 1.115 0.644
B 1.863 5.824 8.719
B 2.570 5.900 18.083
B 7.003 1.190 10.008
B 5.818 4.410 5.270
B 1.385 2.529 4.093
B 3.048 2.604 13.457
B 7.481 4.486 14.634
H 1.939 5.467 11.244
H 6.372 1.623 16.846
H 6.927 1.547 7.483
H 2.494 5.392 1.881
H 2.007 3.256 7.194
H 6.440 3.683 2.170
H 6.859 3.758 11.533
H 2.426 3.331 16.557
H 5.465 2.013 9.072
H 1.032 4.926 0.292
H 3.401 5.001 9.656
H 7.834 2.088 18.435
H 2.749 3.332 7.110
H 7.182 3.607 2.254
H 6.117 3.682 11.617
H 1.684 3.408 16.473
H 7.082 2.115 6.059
H 2.649 4.824 3.304
H 1.784 4.899 12.668
H 6.217 2.191 15.423
H 3.917 3.889 5.210
H 8.350 3.050 4.153
H 4.949 3.125 13.517
H 0.516 3.965 14.574
H 6.832 4.092 6.936
H 2.399 2.847 2.428
H 2.034 2.922 11.791
H 6.467 4.167 16.300
H 2.866 0.948 9.863
H 7.299 6.142 18.228
H 6.000 6.066 8.864
H 1.567 0.872 0.500
H 6.129 6.869 12.150
H 1.695 0.220 15.941
H 2.738 0.145 6.578
H 7.171 6.794 2.786
H 5.628 6.561 7.434
H 1.195 0.378 1.929
H 3.238 0.454 11.293
H 7.671 6.636 16.798
O 2.748 6.725 5.613
O 7.181 0.214 3.750
O 6.118 0.289 13.114
O 1.685 6.800 14.977
O 5.707 5.365 4.349
O 1.274 1.574 5.015
O 3.159 1.650 14.379
O 7.592 5.440 13.712
O 5.712 5.747 7.970
O 1.279 1.192 1.393
O 3.154 1.267 10.757
O 7.587 5.823 17.334
O 4.757 3.539 5.557
O 0.324 3.400 3.807
O 4.110 3.475 13.170
O 8.543 3.614 14.920
O 6.242 1.334 15.902
O 1.809 5.755 12.189
O 2.624 5.680 2.825
O 7.057 1.259 6.538
O 6.372 6.927 10.440
O 1.939 0.163 17.651
O 2.494 0.088 8.287
O 6.927 6.851 1.076
O 6.858 2.151 18.423
O 2.425 4.939 9.668
O 2.008 4.864 0.304
O 6.441 2.075 9.059
O 7.023 4.111 5.968
O 2.590 2.828 3.395
O 1.843 2.904 12.759
O 6.276 4.186 15.332
O 3.805 5.752 17.565
O 8.238 1.338 10.526
O 5.061 1.263 1.162
O 0.628 5.676 8.201
```

5.
The following is a PBE calculation of a geometry-optimized Ba5B20H4O38 structure, from the Materials Project database.

## Properties
The calculated density comes out at 3.26 Mg/m³. As for the crystal system: monoclinic. As for the magnetization: 2.0 μB/f.u.

Structure (extended XYZ):
```
67
Lattice="6.797 0.000 0.000 0.000 9.632 0.000 0.000 1.023 11.777" Properties=species:S:1:pos:R:3 pbc="T T T"
Ba 6.755 0.000 0.000
Ba 1.585 6.240 3.557
Ba 1.585 4.415 8.220
Ba 5.080 3.854 2.068
Ba 5.080 6.801 9.709
B 4.962 7.032 1.680
B 4.962 3.623 10.097
B 0.409 6.157 0.401
B 0.409 4.498 11.375
B 1.475 0.758 3.649
B 1.475 9.897 8.128
B 4.886 9.211 2.887
B 4.886 1.444 8.890
B 2.875 6.544 0.092
B 2.875 4.111 11.685
B 4.716 7.140 4.206
B 4.716 3.515 7.570
B 6.292 3.792 5.696
B 6.292 6.863 6.081
B 1.329 2.494 1.821
B 1.329 8.161 9.956
B 1.542 3.133 4.249
B 1.542 7.521 7.528
B 3.895 3.630 5.245
B 3.895 7.025 6.532
H 1.572 8.991 5.018
H 1.572 1.664 6.758
H 4.970 1.325 3.749
H 4.970 9.330 8.027
O 4.907 8.532 1.690
O 4.907 2.123 10.087
O 1.491 9.045 4.045
O 1.491 1.610 7.732
O 1.835 6.188 0.910
O 1.835 4.467 10.867
O 1.351 1.068 2.317
O 1.351 9.587 9.459
O 4.375 6.503 2.941
O 4.375 4.152 8.836
O 5.244 3.440 4.824
O 5.244 7.215 6.952
O 0.307 2.557 0.759
O 0.307 8.098 11.017
O 6.747 4.816 0.000
O 6.381 6.610 1.556
O 6.381 4.044 10.221
O 1.559 1.718 4.628
O 1.559 8.936 7.148
O 4.963 0.983 2.838
O 4.963 9.672 8.938
O 4.852 8.595 4.091
O 4.852 2.060 7.686
O 4.198 6.502 0.512
O 4.198 4.153 11.265
O 2.669 2.822 1.247
O 2.669 7.833 10.530
O 3.629 6.860 5.210
O 3.629 3.794 6.566
O 5.985 6.571 4.778
O 5.985 4.084 6.998
O 0.800 3.898 5.296
O 0.800 6.757 6.481
O 0.974 3.396 2.935
O 0.974 7.259 8.842
O 2.972 3.665 4.238
O 2.972 6.989 7.539
O 2.741 0.000 0.000
```

no.,energy relative to the elements (eV per atom)
1,-2.34
2,-2.79
3,-2.61
4,-1.52
5,-2.80